Below is a relaxed structure of YB4, with properties calculated at the r²SCAN level.

Results
Energy relative to the elements ... -3.297 eV/f.u.
Magnetization ... 0.000 μB/f.u.

a = 7.104 Å, b = 7.104 Å, c = 4.019 Å
α = 90.00°, β = 90.00°, γ = 90.00°
Space group P4/mbm (No. 127)
Symmetry-distinct sites (fractional):
Y  0.182  0.318  0.000
B  0.000  0.000  0.203
B  0.038  0.824  0.500
B  0.087  0.587  0.500

Below is a relaxed structure of YbB6, with properties calculated at the r²SCAN level.

Results
Energy relative to the elements ... -2.671 eV/f.u.
Magnetization ... 0.000 μB/f.u.

a = 4.065 Å, b = 4.065 Å, c = 4.065 Å
α = 90.00°, β = 90.00°, γ = 90.00°
Space group Pm-3m (No. 221)
Symmetry-distinct sites (fractional):
Yb  0.000  0.000  0.000
B  0.198  0.500  0.500

Below is a relaxed structure of ZrB2, with properties calculated at the r²SCAN level.

Results
Energy relative to the elements ... -3.200 eV/f.u.
Magnetization ... 0.000 μB/f.u.

a = 3.1675 Å, b = 3.1675 Å, c = 3.5524 Å
α = 90.00°, β = 90.00°, γ = 120.00°
Space group P6/mmm (No. 191)
Symmetry-distinct sites (fractional):
Zr  0.0000  0.0000  0.0000
B  0.3333  0.6667  0.5000

| no. | final energy (eV/atom) | V (Å³/cell) |
| --- | --- | --- |
| 1 | -10.60 | 203 |
| 2 | -11.90 | 67 |
| 3 | -13.55 | 31 |